Material: Er2MgV2O8
Method: DFT, PBE with a Hubbard U
State: optimized geometry

```
Er2MgV2O8
1.0
5.785 0.021 -1.709
-3.218 4.807 -1.709
0.039 0.073 6.179
O V Er Mg
8 2 2 1
direct
0.635 0.191 0.414 O
0.393 0.807 0.565 O
0.231 0.188 0.068 O
0.812 0.769 0.432 O
0.749 0.813 0.961 O
0.809 0.365 0.086 O
0.193 0.607 0.935 O
0.187 0.251 0.539 O
0.593 0.407 0.250 V
0.380 0.620 0.750 V
0.870 0.130 0.750 Er
0.154 0.846 0.250 Er
0.860 0.140 0.250 Mg
```

- Uncorrected energy: -7.664 eV per atom
- Energy of formation: -3.08 eV/atom
- Energy above the most stable polymorph in this dataset: 0.087 eV per formula unit
- Crystal system: monoclinic



Material: EuCrHO5
Method: DFT, PBE with a Hubbard U
State: optimized geometry

```
EuCrHO5
1.0
-0.202 -2.059 11.510
-2.218 -8.101 -1.488
6.201 -9.726 -1.631
H Cr O Eu
8 8 40 8
direct
0.127 0.983 0.151 H
0.373 0.983 0.651 H
0.422 0.470 0.693 H
0.578 0.530 0.307 H
0.873 0.017 0.849 H
0.078 0.470 0.193 H
0.922 0.530 0.807 H
0.627 0.017 0.349 H
0.188 0.398 0.463 Cr
0.824 0.138 0.496 Cr
0.688 0.602 0.037 Cr
0.676 0.138 0.996 Cr
0.176 0.862 0.504 Cr
0.324 0.862 0.004 Cr
0.812 0.602 0.537 Cr
0.312 0.398 0.963 Cr
0.633 0.377 0.918 O
0.621 0.789 0.866 O
0.121 0.211 0.634 O
0.090 0.044 0.356 O
0.367 0.623 0.082 O
0.327 0.866 0.145 O
0.827 0.134 0.355 O
0.509 0.479 0.373 O
0.762 0.702 0.611 O
0.403 0.592 0.834 O
0.903 0.408 0.666 O
0.173 0.866 0.645 O
0.262 0.298 0.889 O
0.300 0.492 0.488 O
0.590 0.956 0.144 O
0.910 0.956 0.644 O
0.673 0.134 0.855 O
0.738 0.702 0.111 O
0.238 0.298 0.389 O
0.879 0.789 0.366 O
0.813 0.096 0.061 O
0.053 0.034 0.097 O
0.491 0.521 0.627 O
0.553 0.966 0.403 O
0.991 0.479 0.873 O
0.187 0.904 0.939 O
0.379 0.211 0.134 O
0.597 0.408 0.166 O
0.447 0.034 0.597 O
0.800 0.508 0.012 O
0.687 0.096 0.561 O
0.867 0.377 0.418 O
0.947 0.966 0.903 O
0.009 0.521 0.127 O
0.097 0.592 0.334 O
0.410 0.044 0.856 O
0.313 0.904 0.439 O
0.200 0.492 0.988 O
0.700 0.508 0.512 O
0.133 0.623 0.582 O
0.058 0.783 0.845 Eu
0.925 0.738 0.183 Eu
0.942 0.217 0.155 Eu
0.558 0.217 0.655 Eu
0.075 0.262 0.817 Eu
0.442 0.783 0.345 Eu
0.575 0.738 0.683 Eu
0.425 0.262 0.317 Eu
```

- Uncorrected energy: -7.434 eV per atom
- Energy of formation: -2.11 eV/atom
- Crystal system: monoclinic



Material: Rb7DyFe6P8O34
Method: DFT, PBE with a Hubbard U
State: optimized geometry

```
Rb7DyFe6P8O34
1.0
9.408 0.000 0.000
-4.425 8.978 0.000
-0.730 -0.749 10.096
P O Fe Rb Dy
8 34 6 7 1
direct
0.558 0.756 0.781 P
0.785 0.334 0.572 P
0.194 0.266 0.692 P
0.442 0.244 0.219 P
0.090 0.769 0.962 P
0.215 0.666 0.428 P
0.910 0.231 0.038 P
0.806 0.734 0.308 P
0.625 0.780 0.929 O
0.819 0.084 0.107 O
0.206 0.416 0.752 O
0.353 0.097 0.292 O
0.794 0.584 0.248 O
0.424 0.373 0.292 O
0.087 0.267 0.029 O
0.910 0.365 0.119 O
0.741 0.803 0.199 O
0.926 0.446 0.666 O
0.295 0.294 0.573 O
0.913 0.733 0.971 O
0.182 0.781 0.100 O
0.716 0.177 0.628 O
0.345 0.612 0.444 O
0.259 0.197 0.801 O
0.576 0.627 0.708 O
0.705 0.706 0.427 O
0.382 0.728 0.780 O
0.655 0.388 0.556 O
0.090 0.635 0.881 O
0.983 0.843 0.358 O
0.017 0.157 0.642 O
0.068 0.994 0.123 O
0.932 0.006 0.877 O
0.181 0.916 0.893 O
0.838 0.312 0.433 O
0.375 0.220 0.071 O
0.618 0.272 0.220 O
0.074 0.554 0.334 O
0.647 0.903 0.708 O
0.162 0.688 0.567 O
0.818 0.219 0.900 O
0.284 0.823 0.372 O
0.844 0.892 0.034 Fe
0.845 0.423 0.277 Fe
0.165 0.906 0.246 Fe
0.155 0.577 0.723 Fe
0.835 0.094 0.754 Fe
0.156 0.108 0.966 Fe
0.073 0.209 0.342 Rb
0.323 0.561 0.094 Rb
0.927 0.791 0.658 Rb
0.677 0.439 0.906 Rb
0.500 0.000 0.000 Rb
0.374 0.026 0.623 Rb
0.626 0.974 0.377 Rb
0.500 0.500 0.500 Dy
```

- Uncorrected energy: -6.772 eV per atom
- Energy of formation: -2.54 eV/atom
- Crystal system: triclinic



Material: Li9Mn2Co5O16
Method: DFT, PBE with a Hubbard U
State: optimized geometry

```
Li9Mn2Co5O16
1.0
2.943 0.000 0.000
-0.248 10.046 0.000
-0.157 -3.114 9.671
Li O Co Mn
9 16 5 2
direct
0.494 0.504 0.755 Li
0.014 0.246 0.746 Li
0.501 0.007 0.739 Li
0.506 0.993 0.260 Li
0.987 0.005 0.511 Li
0.502 0.499 0.248 Li
0.996 0.259 0.252 Li
0.004 0.744 0.743 Li
0.995 0.744 0.251 Li
0.475 0.883 0.898 O
0.499 0.107 0.112 O
0.498 0.383 0.876 O
0.026 0.627 0.390 O
0.990 0.115 0.886 O
0.966 0.874 0.118 O
0.001 0.140 0.389 O
0.492 0.859 0.386 O
0.542 0.377 0.386 O
0.997 0.379 0.121 O
0.025 0.369 0.602 O
0.472 0.625 0.608 O
0.951 0.863 0.618 O
0.503 0.138 0.617 O
0.517 0.626 0.112 O
0.038 0.633 0.885 O
0.012 0.500 0.496 Co
0.015 0.493 0.998 Co
0.489 0.760 0.499 Co
0.492 0.255 0.996 Co
0.505 0.748 0.002 Co
0.513 0.245 0.500 Mn
0.985 0.000 0.003 Mn
```

- Uncorrected energy: -5.802 eV per atom
- Energy of formation: -1.81 eV/atom
- Energy above the most stable polymorph in this dataset: 1.676 eV per formula unit
- Crystal system: triclinic



Material: Li5Mn5O12
Method: DFT, PBE with a Hubbard U
State: optimized geometry

```
Li5Mn5O12
1.0
-2.219 0.978 4.417
-1.929 -3.882 2.695
8.386 -1.030 6.012
O Mn Li
12 5 5
direct
0.110 0.360 0.603 O
0.815 0.995 0.593 O
0.962 0.369 0.104 O
0.890 0.640 0.397 O
0.631 0.997 0.102 O
0.663 0.376 0.895 O
0.337 0.624 0.105 O
0.525 0.343 0.403 O
0.185 0.005 0.407 O
0.369 0.003 0.898 O
0.038 0.631 0.896 O
0.475 0.657 0.597 O
0.500 0.000 0.500 Mn
0.836 0.333 0.500 Mn
0.337 0.325 0.000 Mn
0.164 0.667 0.500 Mn
0.663 0.675 0.000 Mn
0.041 0.322 0.793 Li
0.363 0.689 0.791 Li
0.637 0.311 0.209 Li
0.959 0.678 0.207 Li
0.000 0.000 0.000 Li
```

- Uncorrected energy: -6.506 eV per atom
- Energy of formation: -2.04 eV/atom
- Energy above the most stable polymorph in this dataset: 0.000 eV per formula unit
- Crystal system: triclinic



Material: Sr3V3BiO12
Method: DFT, PBE with a Hubbard U
State: optimized geometry

```
Sr3V3BiO12
1.0
8.712 5.025 0.000
-8.712 5.025 0.000
0.000 3.440 6.575
V O Sr Bi
6 24 6 2
direct
0.925 0.263 0.210 V
0.737 0.075 0.790 V
0.596 0.596 0.210 V
0.263 0.925 0.210 V
0.404 0.404 0.790 V
0.075 0.737 0.790 V
0.289 0.289 0.042 O
0.342 0.002 0.953 O
0.923 0.587 0.726 O
0.600 0.430 0.740 O
0.733 0.243 0.295 O
0.267 0.757 0.705 O
0.077 0.413 0.274 O
0.998 0.658 0.047 O
0.693 0.693 0.352 O
0.430 0.600 0.740 O
0.066 0.879 0.324 O
0.002 0.342 0.953 O
0.658 0.998 0.047 O
0.121 0.934 0.676 O
0.243 0.733 0.295 O
0.711 0.711 0.958 O
0.934 0.121 0.676 O
0.400 0.570 0.260 O
0.570 0.400 0.260 O
0.757 0.267 0.705 O
0.413 0.077 0.274 O
0.587 0.923 0.726 O
0.879 0.066 0.324 O
0.307 0.307 0.648 O
0.548 0.867 0.406 Sr
0.133 0.452 0.594 Sr
0.867 0.548 0.406 Sr
0.192 0.192 0.398 Sr
0.808 0.808 0.602 Sr
0.452 0.133 0.594 Sr
0.327 0.673 0.000 Bi
0.673 0.327 0.000 Bi
```

- Uncorrected energy: -7.007 eV per atom
- Energy of formation: -2.68 eV/atom
- Crystal system: monoclinic



Material: Ca16Mn14Al2O41
Method: DFT, PBE with a Hubbard U
State: optimized geometry

```
Ca16Mn14Al2O41
1.0
-3.118 7.964 6.805
-8.804 -10.033 7.709
8.547 -2.603 6.334
Ca O Mn Al
32 82 28 4
direct
0.547 0.631 0.978 Ca
0.535 0.131 0.501 Ca
0.977 0.881 0.988 Ca
0.531 0.122 0.993 Ca
0.736 0.366 0.245 Ca
0.991 0.119 0.529 Ca
0.276 0.133 0.228 Ca
0.737 0.127 0.246 Ca
0.487 0.887 0.505 Ca
0.239 0.377 0.258 Ca
0.768 0.117 0.759 Ca
0.957 0.390 0.521 Ca
0.504 0.890 0.984 Ca
0.227 0.615 0.739 Ca
0.536 0.631 0.474 Ca
0.997 0.610 0.015 Ca
0.752 0.884 0.250 Ca
0.509 0.358 0.485 Ca
0.728 0.884 0.757 Ca
0.009 0.611 0.509 Ca
0.013 0.116 0.984 Ca
0.505 0.356 0.997 Ca
0.747 0.361 0.755 Ca
0.257 0.892 0.259 Ca
0.786 0.622 0.256 Ca
0.263 0.120 0.758 Ca
0.778 0.623 0.754 Ca
0.228 0.389 0.769 Ca
0.958 0.869 0.529 Ca
0.243 0.892 0.764 Ca
0.228 0.618 0.246 Ca
0.964 0.380 0.003 Ca
0.620 0.019 0.367 O
0.477 0.885 0.287 O
0.755 0.119 0.537 O
0.095 0.483 0.621 O
0.345 0.499 0.669 O
0.999 0.376 0.316 O
0.010 0.874 0.779 O
0.476 0.131 0.703 O
0.358 0.997 0.151 O
0.272 0.879 0.478 O
0.908 0.732 0.428 O
0.989 0.879 0.321 O
0.205 0.130 0.547 O
0.003 0.626 0.228 O
0.399 0.220 0.387 O
0.168 0.019 0.356 O
0.389 0.021 0.897 O
0.612 0.264 0.612 O
0.631 0.015 0.853 O
0.837 0.480 0.647 O
0.167 0.756 0.289 O
0.345 0.500 0.169 O
0.642 0.230 0.363 O
0.173 0.248 0.828 O
0.852 0.980 0.644 O
0.876 0.269 0.632 O
0.749 0.373 0.970 O
0.752 0.122 0.036 O
0.343 0.995 0.635 O
0.917 0.736 0.926 O
0.086 0.979 0.600 O
0.583 0.494 0.075 O
0.852 0.479 0.154 O
0.869 0.006 0.188 O
0.894 0.011 0.893 O
0.154 0.509 0.365 O
0.579 0.760 0.581 O
0.290 0.854 0.980 O
0.276 0.376 0.977 O
0.662 0.228 0.862 O
0.895 0.215 0.393 O
0.148 0.512 0.868 O
0.996 0.629 0.721 O
0.410 0.228 0.895 O
0.618 0.979 0.115 O
0.361 0.266 0.139 O
0.223 0.629 0.034 O
0.889 0.519 0.401 O
0.577 0.493 0.568 O
0.283 0.373 0.484 O
0.622 0.262 0.117 O
0.398 0.684 0.849 O
0.496 0.370 0.782 O
0.004 0.373 0.788 O
0.585 0.765 0.094 O
0.661 0.724 0.345 O
0.508 0.370 0.280 O
0.593 0.987 0.615 O
0.630 0.529 0.836 O
0.993 0.125 0.734 O
0.146 0.011 0.854 O
0.502 0.122 0.210 O
0.136 0.232 0.298 O
0.403 0.700 0.340 O
0.885 0.264 0.147 O
0.660 0.731 0.856 O
0.109 0.978 0.102 O
0.761 0.876 0.972 O
0.232 0.631 0.529 O
0.856 0.775 0.158 O
0.165 0.749 0.804 O
0.890 0.513 0.897 O
0.211 0.149 0.029 O
0.480 0.877 0.770 O
0.754 0.626 0.041 O
0.904 0.236 0.910 O
0.751 0.877 0.462 O
0.740 0.626 0.542 O
0.745 0.375 0.461 O
0.634 0.530 0.339 O
0.841 0.772 0.657 O
0.096 0.469 0.126 O
0.744 0.499 0.998 Mn
0.509 0.488 0.726 Mn
0.749 0.748 0.504 Mn
0.995 0.755 0.268 Mn
0.762 0.245 0.006 Mn
0.252 0.003 0.004 Mn
0.265 0.749 0.455 Mn
0.739 0.502 0.494 Mn
0.241 0.242 0.468 Mn
0.005 0.250 0.764 Mn
0.239 0.497 0.019 Mn
0.511 0.750 0.746 Mn
0.995 0.493 0.264 Mn
0.756 0.247 0.500 Mn
0.268 0.735 0.955 Mn
0.998 0.997 0.751 Mn
0.508 0.491 0.229 Mn
0.520 0.762 0.252 Mn
0.992 0.751 0.763 Mn
0.755 0.000 0.005 Mn
0.733 0.997 0.507 Mn
0.244 0.497 0.516 Mn
0.488 0.005 0.746 Mn
0.025 0.988 0.256 Mn
0.500 0.245 0.247 Mn
0.992 0.498 0.758 Mn
0.512 0.245 0.756 Mn
0.760 0.751 0.007 Mn
0.511 0.000 0.231 Al
0.276 0.251 0.980 Al
0.221 0.001 0.518 Al
0.983 0.265 0.280 Al
```

- Uncorrected energy: -6.987 eV per atom
- Energy of formation: -2.61 eV/atom
- Crystal system: triclinic